VASP calculation (PBE) on a relaxed KGe2N3 crystal.

Cell: 10.106 6.026 5.322 Å, 90.00 90.00 90.00°
Space group Cmc2_1 (No. 36)
One atom of each set of equivalent atoms:
K 0.000 0.155 0.000 x4
Ge 0.173 0.356 0.522 x8
N 0.000 0.294 0.485 x4
N 0.235 0.382 0.859 x8

Summary:
Volume: 324.1 Å³ per cell
Largest piezoelectric modulus: 0.367 C/m2
Crystal system: orthorhombic
Energy of formation from the pure elements: -0.299 eV per atom

VASP calculation (PBE) on a relaxed Ca4Ni20H crystal.

Cell: 9.771 17.216 3.885 Å, 90.00 90.00 90.00°
Space group Cmm2 (No. 35)
One atom of each set of equivalent atoms:
Ca 0.000 0.246 0.000 x4
Ca 0.248 0.500 0.999 x4
Ni 0.000 0.000 0.500 x2
Ni 0.000 0.082 0.000 x4
Ni 0.000 0.408 0.002 x4
Ni 0.000 0.500 0.493 x2
Ni 0.125 0.373 0.500 x8
Ni 0.126 0.124 0.500 x8
Ni 0.249 0.334 0.000 x8
Ni 0.250 0.250 0.500 x4
H 0.000 0.500 0.921 x2

Summary:
Volume: 653.6 Å³ per cell
Crystal system: orthorhombic
Energy of formation from the pure elements: -0.109 eV per atom
Total magnetization: 1.4 μB per formula unit

VASP calculation (PBE) on a relaxed KS crystal.

Cell: 8.5861 8.5861 5.9209 Å, 90.00 90.00 120.00°
Space group P-62m (No. 189)
One atom of each set of equivalent atoms:
K 0.0000 0.3574 0.0000 x3
K 0.0000 0.6929 0.5000 x3
S 0.0000 0.0000 0.1799 x2
S 0.3333 0.6667 0.3189 x4

Summary:
Volume: 378.0 Å³ per cell
Largest piezoelectric modulus: 0.101 C/m2
Crystal system: hexagonal
Energy of formation from the pure elements: -1.183 eV per atom

VASP calculation (PBE) on a relaxed TeC4Br2F6 crystal.

Cell: 9.364 11.060 11.321 Å, 62.63 87.86 88.65°
Space group P-1 (No. 2)
One atom of each set of equivalent atoms:
Te 0.082 0.389 0.369 x2
Te 0.215 0.830 0.208 x2
C 0.004 0.733 0.715 x2
C 0.138 0.720 0.757 x2
C 0.296 0.373 0.298 x2
C 0.334 0.383 0.179 x2
C 0.346 0.973 0.361 x2
C 0.360 0.951 0.255 x2
C 0.389 0.744 0.143 x2
C 0.484 0.298 0.799 x2
Br 0.031 0.626 0.138 x2
Br 0.135 0.162 0.590 x2
Br 0.205 0.031 0.967 x2
Br 0.235 0.602 0.463 x2
F 0.080 0.165 0.286 x2
F 0.195 0.801 0.799 x2
F 0.228 0.624 0.761 x2
F 0.244 0.403 0.084 x2
F 0.249 0.914 0.458 x2
F 0.366 0.732 0.032 x2
F 0.382 0.353 0.844 x2
F 0.399 0.352 0.386 x2
F 0.428 0.058 0.381 x2
F 0.447 0.290 0.691 x2
F 0.465 0.017 0.163 x2
F 0.469 0.373 0.142 x2

Summary:
Volume: 1040.4 Å³ per cell
Crystal system: triclinic
Energy of formation from the pure elements: -0.927 eV per atom
Total magnetization: 0.0 μB per formula unit

VASP calculation (PBE) on a relaxed BaSn3Pt crystal.

Cell: 4.974 4.974 11.291 Å, 90.00 90.00 90.00°
Space group I4mm (No. 107)
One atom of each set of equivalent atoms:
Ba 0.000 0.000 0.000 x2
Sn 0.000 0.000 0.415 x2
Sn 0.000 0.500 0.252 x4
Pt 0.000 0.000 0.652 x2

Summary:
Volume: 279.3 Å³ per cell
Crystal system: tetragonal
Energy of formation from the pure elements: -0.681 eV per atom

VASP calculation (PBE) on a relaxed Al6Ge5 crystal.

Cell: 11.5269 11.5269 11.7432 Å, 90.00 90.00 120.00°
Space group R-3c (No. 167, hexagonal axes)
One atom of each set of equivalent atoms:
Al 0.0758 0.2394 0.4080 x36
Ge 0.0000 0.0000 0.1430 x12
Ge 0.0000 0.3525 0.2500 x18

Summary:
Volume: 1351.3 Å³ per cell
Crystal system: trigonal
Energy of formation from the pure elements: 0.048 eV per atom

VASP calculation (PBE) on a relaxed CsB3O5 crystal.

Cell: 6.104 8.562 9.939 Å, 90.00 90.00 90.00°
Space group P2_12_12_1 (No. 19)
One atom of each set of equivalent atoms:
Cs 0.010 0.237 0.137 x4
B 0.029 0.929 0.804 x4
B 0.063 0.150 0.643 x4
B 0.241 0.628 0.034 x4
O 0.053 0.774 0.780 x4
O 0.096 0.564 0.944 x4
O 0.128 0.482 0.603 x4
O 0.158 0.034 0.736 x4
O 0.244 0.217 0.562 x4

Summary:
Volume: 519.5 Å³ per cell
Crystal system: orthorhombic
Energy of formation from the pure elements: -2.811 eV per atom

VASP calculation (PBE) on a relaxed Gd crystal.

Cell: 3.6236 3.6236 26.0328 Å, 90.00 90.00 120.00°
Space group R-3m (No. 166, hexagonal axes)
One atom of each set of equivalent atoms:
Gd 0.0000 0.0000 0.0000 x3
Gd 0.0000 0.0000 0.2221 x6

Summary:
Volume: 296.0 Å³ per cell
Crystal system: trigonal
Energy of formation from the pure elements: 0.020 eV per atom
Polymorph energy (0 for the lowest one): 20.3 meV per atom

VASP calculation (PBE) on a relaxed SnTePb4S4 crystal.

Cell: 4.3158 4.3158 52.2167 Å, 90.00 90.00 120.00°
Space group R3m (No. 160, hexagonal axes)
One atom of each set of equivalent atoms:
Sn 0.0000 0.0000 0.0000 x3
Te 0.0000 0.0000 0.7032 x3
Pb 0.0000 0.0000 0.2052 x3
Pb 0.0000 0.0000 0.4091 x3
Pb 0.0000 0.0000 0.6039 x3
Pb 0.0000 0.0000 0.8068 x3
S 0.0000 0.0000 0.1073 x3
S 0.0000 0.0000 0.3046 x3
S 0.0000 0.0000 0.5058 x3
S 0.0000 0.0000 0.9053 x3

Summary:
Volume: 842.3 Å³ per cell
Crystal system: trigonal
Energy of formation from the pure elements: -0.669 eV per atom
Total magnetization: 0.0 μB per formula unit

VASP calculation (PBE) on a relaxed Er2Co3Si5 crystal.

Cell: 9.541 11.090 5.526 Å, 90.00 90.00 90.00°
Space group Ibam (No. 72)
One atom of each set of equivalent atoms:
Er 0.236 0.134 0.000 x8
Co 0.000 0.500 0.250 x4
Co 0.112 0.136 0.500 x8
Si 0.000 0.000 0.250 x4
Si 0.000 0.269 0.250 x8
Si 0.157 0.398 0.000 x8

Summary:
Volume: 584.7 Å³ per cell
Crystal system: orthorhombic
Energy of formation from the pure elements: -0.733 eV per atom

VASP calculation (PBE) on a relaxed SiO2 crystal.

Cell: 7.239 7.239 12.207 Å, 90.00 90.00 90.00°
Space group I-4m2 (No. 119)
One atom of each set of equivalent atoms:
Si 0.000 0.000 0.000 x2
Si 0.000 0.206 0.211 x8
O 0.000 0.000 0.265 x4
O 0.000 0.184 0.078 x8
O 0.184 0.316 0.250 x8

Summary:
Volume: 639.7 Å³ per cell
Largest piezoelectric modulus: 0.042 C/m2
Crystal system: tetragonal
Energy of formation from the pure elements: -3.238 eV per atom

VASP calculation (PBE) on a relaxed Zr3ZnN crystal.

Cell: 3.361 11.559 8.964 Å, 90.00 90.00 90.00°
Space group Cmcm (No. 63)
One atom of each set of equivalent atoms:
Zr 0.000 0.047 0.250 x4
Zr 0.000 0.374 0.048 x8
Zn 0.000 0.256 0.750 x4
N 0.000 0.000 0.000 x4

Summary:
Volume: 348.3 Å³ per cell
Crystal system: orthorhombic
Energy of formation from the pure elements: -0.959 eV per atom